CaTb3 PBE optimized geometry; space group = No. 221; crystal system = cubic; formation enthalpy at 0 K = 0.129 eV/atom
1.0
5.110 0.000 0.000
0.000 5.110 0.000
0.000 0.000 5.110
Ca Tb
1 3
Direct
0.000 0.000 0.000
0.000 0.500 0.500
0.500 0.000 0.500
0.500 0.500 0.000